Record 1
DFT (PBE) results for an optimized crystal structure of SrEuInSnO6.

## Properties
- calculated density (g cm⁻³) = 6.6
- formation enthalpy at 0 K (meV/atom) = -2421
- crystal system = cubic

Unit cell a=5.8843 b=5.8843 c=5.8843 alpha=60.00 beta=60.00 gamma=60.00
Fractional positions:
In (0.0000, 0.0000, 0.0000)
O (0.2545, 0.2545, 0.7455)
Sr (0.2500, 0.2500, 0.2500)
O (0.7455, 0.2545, 0.7455)
O (0.2545, 0.7455, 0.2545)
Eu (0.7500, 0.7500, 0.7500)
O (0.7455, 0.7455, 0.2545)
Sn (0.5000, 0.5000, 0.5000)
O (0.2545, 0.7455, 0.7455)
O (0.7455, 0.2545, 0.2545)


Record 2
DFT (PBE) results for an optimized crystal structure of Eu2TiInO6.

## Properties
- calculated density (g cm⁻³) = 7.0
- formation enthalpy at 0 K (meV/atom) = -2970
- crystal system = cubic

Unit cell a=5.7278 b=5.7278 c=5.7278 alpha=60.00 beta=60.00 gamma=60.00
Fractional positions:
In (0.0000, 0.0000, 0.0000)
Ti (0.5000, 0.5000, 0.5000)
O (0.7397, 0.7397, 0.2603)
O (0.7397, 0.2603, 0.2603)
O (0.2603, 0.7397, 0.7397)
Eu (0.2500, 0.2500, 0.2500)
O (0.2603, 0.2603, 0.7397)
O (0.7397, 0.2603, 0.7397)
O (0.2603, 0.7397, 0.2603)
Eu (0.7500, 0.7500, 0.7500)


Record 3
DFT (PBE) results for an optimized crystal structure of EuIn2Pd.

## Properties
- calculated density (g cm⁻³) = 8.4
- formation enthalpy at 0 K (meV/atom) = -626
- crystal system = orthorhombic

Unit cell a=5.7864 b=5.7864 c=7.9360 alpha=90.00 beta=90.00 gamma=133.40
Fractional positions:
In (0.3535, 0.6465, 0.0531)
Eu (0.9355, 0.0645, 0.7500)
In (0.6465, 0.3535, 0.9469)
In (0.3535, 0.6465, 0.4469)
Eu (0.0645, 0.9355, 0.2500)
Pd (0.7819, 0.2181, 0.2500)
Pd (0.2181, 0.7819, 0.7500)
In (0.6465, 0.3535, 0.5531)


Record 4
DFT (PBE) results for an optimized crystal structure of EuIn4Pd.

## Properties
- calculated density (g cm⁻³) = 8.0
- formation enthalpy at 0 K (meV/atom) = -467
- crystal system = orthorhombic

Unit cell a=8.9336 b=8.9336 c=7.4911 alpha=90.00 beta=90.00 gamma=150.17
Fractional positions:
Eu (0.8771, 0.1229, 0.2500)
In (0.9322, 0.0678, 0.7500)
Pd (0.7757, 0.2243, 0.7500)
Pd (0.2243, 0.7757, 0.2500)
In (0.3160, 0.6840, 0.9520)
In (0.6840, 0.3160, 0.0480)
In (0.3160, 0.6840, 0.5480)
Eu (0.1229, 0.8771, 0.7500)
In (0.5000, 0.5000, 0.5000)
In (0.5000, 0.5000, 0.0000)
In (0.6840, 0.3160, 0.4520)
In (0.0678, 0.9322, 0.2500)


Record 5
DFT (PBE) results for an optimized crystal structure of EuInPt4.

## Properties
- calculated density (g cm⁻³) = 15.3
- formation enthalpy at 0 K (meV/atom) = -699
- crystal system = cubic

Unit cell a=5.4420 b=5.4420 c=5.4420 alpha=60.00 beta=60.00 gamma=60.00
Fractional positions:
Pt (0.6246, 0.1261, 0.6246)
Eu (0.0000, 0.0000, 0.0000)
Pt (0.6246, 0.6246, 0.1261)
Pt (0.1261, 0.6246, 0.6246)
In (0.2500, 0.2500, 0.2500)
Pt (0.6246, 0.6246, 0.6246)


Record 6
DFT (PBE) results for an optimized crystal structure of EuIn2Rh.

## Properties
- calculated density (g cm⁻³) = 8.5
- formation enthalpy at 0 K (meV/atom) = -548
- crystal system = orthorhombic

Unit cell a=5.7142 b=5.7142 c=8.2303 alpha=90.00 beta=90.00 gamma=135.41
Fractional positions:
In (0.6489, 0.3511, 0.9487)
Eu (0.9367, 0.0633, 0.7500)
In (0.6489, 0.3511, 0.5513)
In (0.3511, 0.6489, 0.0513)
Eu (0.0633, 0.9367, 0.2500)
In (0.3511, 0.6489, 0.4487)
Rh (0.2183, 0.7817, 0.7500)
Rh (0.7817, 0.2183, 0.2500)


Record 7
DFT (PBE) results for an optimized crystal structure of EuInRh.

## Properties
- calculated density (g cm⁻³) = 8.7
- formation enthalpy at 0 K (meV/atom) = -574
- crystal system = orthorhombic

Unit cell a=4.4005 b=7.4716 c=8.5472 alpha=90.00 beta=90.00 gamma=90.00
Fractional positions:
Eu (0.7500, 0.4721, 0.8229)
Eu (0.2500, 0.0279, 0.3229)
Eu (0.7500, 0.9721, 0.6771)
Rh (0.7500, 0.7252, 0.3724)
In (0.2500, 0.1469, 0.9359)
Rh (0.7500, 0.2252, 0.1276)
In (0.7500, 0.3531, 0.4359)
In (0.2500, 0.6469, 0.5641)
In (0.7500, 0.8531, 0.0641)
Rh (0.2500, 0.7748, 0.8724)
Eu (0.2500, 0.5279, 0.1771)
Rh (0.2500, 0.2748, 0.6276)


Record 8
DFT (PBE) results for an optimized crystal structure of EuIn2S4.

## Properties
- calculated density (g cm⁻³) = 4.7
- formation enthalpy at 0 K (meV/atom) = -1291
- crystal system = orthorhombic

Unit cell a=6.1916 b=6.1916 c=10.4977 alpha=90.00 beta=90.00 gamma=115.30
Fractional positions:
In (0.7705, 0.2263, 0.5000)
S (0.0000, 0.5000, 0.1801)
S (0.3511, 0.2080, 0.0000)
S (0.0000, 0.5000, 0.8200)
S (0.2080, 0.3511, 0.5000)
In (0.2295, 0.7737, 0.5000)
S (0.6489, 0.7920, 0.0000)
S (0.5000, 0.0000, 0.6800)
Eu (0.5000, 0.5000, 0.7500)
In (0.7737, 0.2295, 0.0000)
S (0.5000, 0.0000, 0.3199)
In (0.2263, 0.7705, 0.0000)
S (0.7920, 0.6489, 0.5000)
Eu (0.5000, 0.5000, 0.2500)


Record 9
DFT (PBE) results for an optimized crystal structure of EuIn2Se4.

## Properties
- calculated density (g cm⁻³) = 5.3
- formation enthalpy at 0 K (meV/atom) = -1222
- crystal system = orthorhombic

Unit cell a=6.5732 b=6.5732 c=11.2653 alpha=90.00 beta=90.00 gamma=116.88
Fractional positions:
Eu (0.5000, 0.5000, 0.7500)
Se (0.6431, 0.7925, 0.5000)
Eu (0.5000, 0.5000, 0.2500)
Se (0.0000, 0.5000, 0.6773)
In (0.2306, 0.7711, 0.0000)
Se (0.0000, 0.5000, 0.3227)
Se (0.5000, 0.0000, 0.8227)
In (0.7694, 0.2289, 0.0000)
Se (0.3569, 0.2075, 0.5000)
Se (0.7925, 0.6431, 0.0000)
Se (0.5000, 0.0000, 0.1773)
Se (0.2075, 0.3569, 0.0000)
In (0.7711, 0.2306, 0.5000)
In (0.2289, 0.7694, 0.5000)


Record 10
DFT (PBE) results for an optimized crystal structure of SrEuIn2.

## Properties
- calculated density (g cm⁻³) = 6.2
- formation enthalpy at 0 K (meV/atom) = -430
- crystal system = cubic

Unit cell a=5.6340 b=5.6340 c=5.6340 alpha=60.00 beta=60.00 gamma=60.00
Fractional positions:
In (0.7500, 0.7500, 0.7500)
Sr (0.0000, 0.0000, 0.0000)
In (0.2500, 0.2500, 0.2500)
Eu (0.5000, 0.5000, 0.5000)


Record 11
DFT (PBE) results for an optimized crystal structure of EuZnIn3.

## Properties
- calculated density (g cm⁻³) = 7.1
- formation enthalpy at 0 K (meV/atom) = -293
- crystal system = tetragonal

Unit cell a=6.7835 b=6.7835 c=6.7835 alpha=139.33 beta=139.33 gamma=58.87
Fractional positions:
Zn (0.3832, 0.3832, 0.0000)
Eu (0.9965, 0.9965, 0.0000)
In (0.2590, 0.7590, 0.5000)
In (0.7590, 0.2590, 0.5000)
In (0.6024, 0.6024, 0.0000)


Record 12
DFT (PBE) results for an optimized crystal structure of LiEu2Ir.

## Properties
- calculated density (g cm⁻³) = 8.9
- formation enthalpy at 0 K (meV/atom) = -271
- crystal system = cubic

Unit cell a=5.1020 b=5.1020 c=5.1020 alpha=60.00 beta=60.00 gamma=60.00
Fractional positions:
Li (0.7500, 0.7500, 0.7500)
Ir (0.2500, 0.2500, 0.2500)
Eu (0.0000, 0.0000, 0.0000)
Eu (0.5000, 0.5000, 0.5000)


Please write out number 7 again, unchanged.
DFT (PBE) results for an optimized crystal structure of EuInRh.

## Properties
- calculated density (g cm⁻³) = 8.7
- formation enthalpy at 0 K (meV/atom) = -574
- crystal system = orthorhombic

Unit cell a=4.4005 b=7.4716 c=8.5472 alpha=90.00 beta=90.00 gamma=90.00
Fractional positions:
Eu (0.7500, 0.4721, 0.8229)
Eu (0.2500, 0.0279, 0.3229)
Eu (0.7500, 0.9721, 0.6771)
Rh (0.7500, 0.7252, 0.3724)
In (0.2500, 0.1469, 0.9359)
Rh (0.7500, 0.2252, 0.1276)
In (0.7500, 0.3531, 0.4359)
In (0.2500, 0.6469, 0.5641)
In (0.7500, 0.8531, 0.0641)
Rh (0.2500, 0.7748, 0.8724)
Eu (0.2500, 0.5279, 0.1771)
Rh (0.2500, 0.2748, 0.6276)